No. 1
A plane-wave DFT calculation with PBE-GGA was carried out for an optimized crystal structure of Sr2MgTi6N2O11.

Cell: 3.9595 7.8422 9.1751 Å, 93.31 90.30 103.35°
Space group P1 (No. 1)
Inequivalent atoms, fractional coordinates:
Sr (0.0000, 0.0000, 0.0000)
Sr (0.1371, 0.2827, 0.6227)
Mg (0.2042, 0.3338, 0.1975)
Ti (0.3563, 0.6822, 0.0539)
Ti (0.4506, 0.8780, 0.3882)
Ti (0.4832, 0.9449, 0.7303)
Ti (0.7334, 0.4212, 0.9454)
Ti (0.8145, 0.5799, 0.2820)
Ti (0.8561, 0.6725, 0.6082)
N (0.4233, 0.8220, 0.8957)
N (0.8411, 0.6482, 0.0758)
O (0.2292, 0.4081, 0.9834)
O (0.3139, 0.5795, 0.2807)
O (0.3828, 0.7277, 0.5830)
O (0.4628, 0.9172, 0.1911)
O (0.5413, 0.0775, 0.5024)
O (0.6087, 0.1780, 0.8317)
O (0.6959, 0.3171, 0.1757)
O (0.7683, 0.4715, 0.4776)
O (0.7885, 0.5225, 0.7629)
O (0.9198, 0.8116, 0.4002)
O (0.9824, 0.9412, 0.7021)

Properties
density: 4.1 g/cm³
ΔH_f (0 K): -2940 meV/atom
E_tot: -8.208 eV per atom
energy above the most stable polymorph in this dataset: 0.098 eV/atom

---

No. 2
A plane-wave DFT calculation with PBE-GGA was carried out for an optimized crystal structure of Sr2MgTi6N2O11.

Cell: 15.5396 3.8024 10.6997 Å, 90.00 107.54 90.00°
Space group Cm (No. 8)
Inequivalent atoms, fractional coordinates:
Sr (0.0000, 0.0000, 0.0000)
Sr (0.0703, 0.0000, 0.5876)
Mg (0.4692, 0.0000, 0.2503)
Ti (0.1511, 0.5000, 0.9009)
Ti (0.1560, 0.5000, 0.3170)
Ti (0.2619, 0.5000, 0.6571)
Ti (0.2860, 0.0000, 0.1055)
Ti (0.3155, 0.0000, 0.4515)
Ti (0.4009, 0.0000, 0.7227)
N (0.1700, 0.5000, 0.7394)
N (0.2621, 0.0000, 0.6005)
O (0.0255, 0.5000, 0.8595)
O (0.0647, 0.5000, 0.1617)
O (0.0760, 0.5000, 0.4151)
O (0.1630, 0.0000, 0.9578)
O (0.1855, 0.0000, 0.3068)
O (0.2533, 0.5000, 0.0834)
O (0.2877, 0.5000, 0.4398)
O (0.3552, 0.0000, 0.2854)
O (0.3862, 0.0000, 0.0552)
O (0.3874, 0.5000, 0.7740)
O (0.4416, 0.0000, 0.5742)

Properties
density: 3.8 g/cm³
ΔH_f (0 K): -2991 meV/atom
E_tot: -8.259 eV per atom
energy above the most stable polymorph in this dataset: 0.047 eV/atom

---

No. 3
A plane-wave DFT calculation with PBE-GGA was carried out for an optimized crystal structure of Sr2MgTi6N2O11.

Cell: 3.9321 7.6375 9.6410 Å, 98.27 90.00 104.91°
Space group P1 (No. 1)
Inequivalent atoms, fractional coordinates:
Sr (0.0000, 0.0000, 0.0000)
Sr (0.0213, 0.0476, 0.3600)
Mg (0.5890, 0.1843, 0.6472)
Ti (0.3025, 0.6056, 0.1043)
Ti (0.3555, 0.7129, 0.4310)
Ti (0.4027, 0.8060, 0.7658)
Ti (0.6715, 0.3436, 0.9304)
Ti (0.7024, 0.4068, 0.2818)
Ti (0.7827, 0.5662, 0.6163)
N (0.3063, 0.6135, 0.6050)
N (0.7151, 0.4313, 0.7675)
O (0.1713, 0.3432, 0.9833)
O (0.2303, 0.4624, 0.2928)
O (0.3758, 0.7522, 0.9490)
O (0.4081, 0.8165, 0.2374)
O (0.4778, 0.9583, 0.5212)
O (0.5424, 0.0860, 0.8399)
O (0.5899, 0.1821, 0.1788)
O (0.6600, 0.3222, 0.4720)
O (0.7747, 0.5501, 0.0990)
O (0.8427, 0.6870, 0.4131)
O (0.9100, 0.8208, 0.7452)

Properties
density: 4.1 g/cm³
ΔH_f (0 K): -2985 meV/atom
E_tot: -8.253 eV per atom
energy above the most stable polymorph in this dataset: 0.053 eV/atom